TmVO3: optimized geometry, GGA+U.

**Final energy**: -8.25 eV per atom
**Formation energy from the elements**: -16.6 eV/f.u.

Lattice parameters (Å, degrees): 5.688 7.622 5.263 90.00 90.00 90.00
Fractional coordinates of all 20 atoms:
Tm 0.071 0.250 0.022
Tm 0.429 0.750 0.522
Tm 0.571 0.250 0.478
Tm 0.929 0.750 0.978
V 0.000 0.000 0.500
V 0.000 0.500 0.500
V 0.500 0.000 0.000
V 0.500 0.500 0.000
O 0.052 0.750 0.375
O 0.187 0.563 0.808
O 0.187 0.937 0.808
O 0.313 0.063 0.308
O 0.313 0.437 0.308
O 0.448 0.250 0.875
O 0.552 0.750 0.125
O 0.687 0.563 0.692
O 0.687 0.937 0.692
O 0.813 0.063 0.192
O 0.813 0.437 0.192
O 0.948 0.250 0.625

---

Na2LiNi3O6: optimized geometry, GGA+U.

**Final energy**: -4.68 eV per atom
**E above lowest polymorph**: 0.0137 eV per atom
**Formation energy from the elements**: -16.3 eV/f.u.

Lattice parameters (Å, degrees): 3.021 10.403 7.697 85.30 78.72 81.61
Fractional coordinates of all 24 atoms:
Na 0.998 0.001 0.003
Na 0.998 0.501 0.503
Na 0.668 0.499 0.164
Na 0.668 0.999 0.664
Li 0.333 0.000 0.333
Li 0.333 0.500 0.833
Ni 0.333 0.750 0.583
Ni 0.000 0.752 0.248
Ni 0.667 0.748 0.918
Ni 0.333 0.250 0.083
Ni 0.000 0.252 0.748
Ni 0.667 0.248 0.418
O 0.513 0.852 0.122
O 0.513 0.352 0.622
O 0.153 0.648 0.044
O 0.153 0.148 0.544
O 0.181 0.348 0.290
O 0.181 0.848 0.790
O 0.485 0.652 0.377
O 0.485 0.152 0.877
O 0.818 0.143 0.221
O 0.818 0.643 0.721
O 0.849 0.857 0.446
O 0.849 0.357 0.946

---

NiPt3O6: optimized geometry, GGA+U.

**Final energy**: -5.69 eV per atom
**Formation energy from the elements**: -9.8 eV/f.u.

Lattice parameters (Å, degrees): 6.420 6.952 11.924 99.75 90.00 62.50
Fractional coordinates of all 40 atoms:
Ni 0.500 0.000 0.000
Ni 0.250 0.500 0.500
Ni 0.750 0.500 0.500
Ni 0.000 0.000 0.000
Pt 0.875 0.250 0.750
Pt 0.625 0.750 0.250
Pt 0.375 0.250 0.750
Pt 0.125 0.750 0.250
Pt 0.500 0.500 0.000
Pt 0.250 0.000 0.500
Pt 0.000 0.500 0.000
Pt 0.750 0.000 0.500
Pt 0.375 0.750 0.750
Pt 0.125 0.250 0.250
Pt 0.875 0.750 0.750
Pt 0.625 0.250 0.250
O 0.891 0.719 0.573
O 0.641 0.219 0.073
O 0.391 0.719 0.573
O 0.141 0.219 0.073
O 0.359 0.781 0.927
O 0.109 0.281 0.427
O 0.859 0.781 0.927
O 0.609 0.281 0.427
O 0.917 0.165 0.581
O 0.667 0.665 0.081
O 0.417 0.165 0.581
O 0.167 0.665 0.081
O 0.833 0.335 0.919
O 0.583 0.835 0.419
O 0.333 0.335 0.919
O 0.083 0.835 0.419
O 0.023 0.954 0.792
O 0.773 0.454 0.292
O 0.523 0.954 0.792
O 0.273 0.454 0.292
O 0.727 0.546 0.708
O 0.477 0.046 0.208
O 0.227 0.546 0.708
O 0.977 0.046 0.208

---

What did the third record say?
NiPt3O6: optimized geometry, GGA+U.

**Final energy**: -5.69 eV per atom
**Formation energy from the elements**: -9.8 eV/f.u.

Lattice parameters (Å, degrees): 6.420 6.952 11.924 99.75 90.00 62.50
Fractional coordinates of all 40 atoms:
Ni 0.500 0.000 0.000
Ni 0.250 0.500 0.500
Ni 0.750 0.500 0.500
Ni 0.000 0.000 0.000
Pt 0.875 0.250 0.750
Pt 0.625 0.750 0.250
Pt 0.375 0.250 0.750
Pt 0.125 0.750 0.250
Pt 0.500 0.500 0.000
Pt 0.250 0.000 0.500
Pt 0.000 0.500 0.000
Pt 0.750 0.000 0.500
Pt 0.375 0.750 0.750
Pt 0.125 0.250 0.250
Pt 0.875 0.750 0.750
Pt 0.625 0.250 0.250
O 0.891 0.719 0.573
O 0.641 0.219 0.073
O 0.391 0.719 0.573
O 0.141 0.219 0.073
O 0.359 0.781 0.927
O 0.109 0.281 0.427
O 0.859 0.781 0.927
O 0.609 0.281 0.427
O 0.917 0.165 0.581
O 0.667 0.665 0.081
O 0.417 0.165 0.581
O 0.167 0.665 0.081
O 0.833 0.335 0.919
O 0.583 0.835 0.419
O 0.333 0.335 0.919
O 0.083 0.835 0.419
O 0.023 0.954 0.792
O 0.773 0.454 0.292
O 0.523 0.954 0.792
O 0.273 0.454 0.292
O 0.727 0.546 0.708
O 0.477 0.046 0.208
O 0.227 0.546 0.708
O 0.977 0.046 0.208

---

What did the second record say?
Na2LiNi3O6: optimized geometry, GGA+U.

**Final energy**: -4.68 eV per atom
**E above lowest polymorph**: 0.0137 eV per atom
**Formation energy from the elements**: -16.3 eV/f.u.

Lattice parameters (Å, degrees): 3.021 10.403 7.697 85.30 78.72 81.61
Fractional coordinates of all 24 atoms:
Na 0.998 0.001 0.003
Na 0.998 0.501 0.503
Na 0.668 0.499 0.164
Na 0.668 0.999 0.664
Li 0.333 0.000 0.333
Li 0.333 0.500 0.833
Ni 0.333 0.750 0.583
Ni 0.000 0.752 0.248
Ni 0.667 0.748 0.918
Ni 0.333 0.250 0.083
Ni 0.000 0.252 0.748
Ni 0.667 0.248 0.418
O 0.513 0.852 0.122
O 0.513 0.352 0.622
O 0.153 0.648 0.044
O 0.153 0.148 0.544
O 0.181 0.348 0.290
O 0.181 0.848 0.790
O 0.485 0.652 0.377
O 0.485 0.152 0.877
O 0.818 0.143 0.221
O 0.818 0.643 0.721
O 0.849 0.857 0.446
O 0.849 0.357 0.946